## WOF3 (PBE+U)

Data for an optimized crystal structure of WOF3.

The volume comes out at 292 Å³ per cell. Its formation energy is -2.610 eV per atom. Its excess energy over the best structure of this formula in the dataset is 0.000 eV/atom. Its largest piezoelectric modulus is 0.2 C/m2.

It has space group P2_12_12_1 (No. 19), with a = 5.495 Å, b = 5.558 Å, c = 9.546 Å, α = 90.00°, β = 90.00° and γ = 90.00°. The asymmetric unit holds W at (0.140, 0.115, 0.114), O at (0.129, 0.705, 0.490), F at (0.068, 0.423, 0.242), F at (0.101, 0.931, 0.744) and F at (0.217, 0.819, 0.024).

## WOF4 (PBE+U)

Data for an optimized crystal structure of WOF4.

The volume comes out at 392 Å³ per cell. Its formation energy is -2.626 eV per atom. Its excess energy over the best structure of this formula in the dataset is 0.056 eV/atom. The size of the total moment is 0.000 μB per atom.

It has space group P2_1/c (No. 14), with a = 8.099 Å, b = 5.004 Å, c = 10.276 Å, α = 90.00°, β = 109.62° and γ = 90.00°. The asymmetric unit holds W at (0.237, 0.047, 0.047), O at (0.385, 0.241, 0.517), F at (0.012, 0.210, 0.933), F at (0.196, 0.220, 0.196), F at (0.198, 0.699, 0.401) and F at (0.379, 0.704, 0.669).

## W7O6F30 (PBE+U)

Data for an optimized crystal structure of W7O6F30.

The volume comes out at 2161 Å³ per cell. Its formation energy is -2.688 eV per atom. The size of the total moment is 0.000 μB per atom.

It has space group R-3 (No. 148, hexagonal axes), with a = 9.3233 Å, b = 9.3233 Å, c = 28.7105 Å, α = 90.00°, β = 90.00° and γ = 120.00°. The asymmetric unit holds W at (0.0000, 0.0000, 0.0000), W at (0.0011, 0.3143, 0.9195), O at (0.0617, 0.1919, 0.9609), F at (0.0711, 0.2380, 0.2926), F at (0.0729, 0.5363, 0.4463), F at (0.0789, 0.5803, 0.1198), F at (0.0901, 0.8689, 0.1213) and F at (0.0914, 0.5349, 0.2857).

## WOF3 (PBE+U)

Data for an optimized crystal structure of WOF3.

The volume comes out at 333 Å³ per cell. Its formation energy is -2.473 eV per atom. Its excess energy over the best structure of this formula in the dataset is 0.137 eV/atom. The size of the total moment is 0.200 μB per atom.

It has space group P-42_1m (No. 113), with a = 9.291 Å, b = 9.291 Å, c = 3.860 Å, α = 90.00°, β = 90.00° and γ = 90.00°. The asymmetric unit holds W at (0.132, 0.368, 0.259), O at (0.127, 0.373, 0.759), F at (0.093, 0.593, 0.258) and F at (0.109, 0.166, 0.259).